## Mg5Tl2 (PBE-GGA)

Data for a relaxed structure of Mg5Tl2. Values from VASP.

Symmetry = No. 72
Calculated formation energy = -30 meV per atom

```
&SYSTEM
  ibrav = 0, nat = 14, ntyp = 2
/
ATOMIC_SPECIES
Mg 24.30 Mg.upf
Tl 204.38 Tl.upf
CELL_PARAMETERS angstrom
0.736 -8.520 1.515
-7.727 -3.965 0.061
4.618 5.036 -5.361
ATOMIC_POSITIONS angstrom
Mg -5.910 -8.898 -0.167
Mg -1.081 -6.373 -0.654
Mg -1.292 -1.075 -3.129
Mg -6.282 -3.465 -0.685
Mg 3.537 1.450 -3.617
Mg 3.909 -3.983 -3.099
Mg -2.635 -3.050 -0.906
Mg -4.273 -5.974 -0.536
Mg 1.900 -1.474 -3.247
Mg 0.262 -4.398 -2.878
Tl -2.932 -8.703 -0.040
Tl 0.394 -2.351 -0.707
Tl 0.559 1.255 -3.744
Tl -2.767 -5.098 -3.077
```

## Ba2CeZrO6 (PBE-GGA)

Data for a relaxed structure of Ba2CeZrO6. Values from VASP.

Symmetry = No. 123
Calculated formation energy = -3583 meV per atom

```
&SYSTEM
  ibrav = 0, nat = 10, ntyp = 4
/
ATOMIC_SPECIES
O 16.00 O.upf
Zr 91.22 Zr.upf
Ce 140.12 Ce.upf
Ba 137.33 Ba.upf
CELL_PARAMETERS angstrom
-0.270 -2.525 3.544
0.358 -5.038 -3.562
6.158 0.070 0.519
ATOMIC_POSITIONS angstrom
O 4.664 -1.246 -0.532
O 1.679 -1.280 -0.784
O 3.123 -3.746 0.250
O 1.852 -3.722 -2.511
O -0.135 -1.262 1.772
O 4.837 -3.688 -2.259
Zr 3.258 -2.484 -1.522
Ce 0.000 0.000 0.000
Ba 0.044 -3.781 -0.009
Ba 2.944 -1.227 2.031
```

## Ca2HfSnO6 (PBE-GGA)

Data for a relaxed structure of Ca2HfSnO6. Values from VASP.

Symmetry = No. 225
Calculated formation energy = -3098 meV per atom

```
&SYSTEM
  ibrav = 0, nat = 10, ntyp = 4
/
ATOMIC_SPECIES
O 16.00 O.upf
Hf 178.49 Hf.upf
Ca 40.08 Ca.upf
Sn 118.71 Sn.upf
CELL_PARAMETERS angstrom
0.000 -4.085 -4.085
4.085 0.000 -4.085
4.085 -4.085 0.000
ATOMIC_POSITIONS angstrom
O 4.085 -6.124 -4.085
O 4.085 -2.045 -4.085
O 4.085 -4.085 -2.045
O 6.124 -4.085 -4.085
O 4.085 -4.085 -6.124
O 2.045 -4.085 -4.085
Hf 0.000 0.000 0.000
Ca 2.042 -2.042 -2.042
Ca 6.127 -6.127 -6.127
Sn 4.085 -4.085 -4.085
```

## Ti2Al2O7 (PBE-GGA)

Data for a relaxed structure of Ti2Al2O7. Values from VASP.

Symmetry = No. 227
Calculated formation energy = -2945 meV per atom

```
&SYSTEM
  ibrav = 0, nat = 22, ntyp = 3
/
ATOMIC_SPECIES
O 16.00 O.upf
Ti 47.87 Ti.upf
Al 26.98 Al.upf
CELL_PARAMETERS angstrom
0.000 4.793 4.793
4.793 0.000 4.793
4.793 4.793 0.000
ATOMIC_POSITIONS angstrom
O 0.000 0.000 0.000
O 9.332 7.190 7.190
O 4.793 2.651 4.793
O 2.651 4.793 4.793
O 6.935 4.793 4.793
O 4.793 4.793 6.935
O 7.190 7.190 9.332
O 4.793 6.935 4.793
O 2.397 2.397 2.397
O 7.190 7.190 5.048
O 4.793 4.793 2.651
O 5.048 7.190 7.190
O 7.190 9.332 7.190
O 7.190 5.048 7.190
Ti 3.595 5.992 3.595
Ti 3.595 3.595 5.992
Ti 5.992 3.595 3.595
Ti 5.992 5.992 5.992
Al 3.595 1.198 3.595
Al 3.595 3.595 1.198
Al 1.198 1.198 1.198
Al 1.198 3.595 3.595
```

## CdGePH3O7 (PBE-GGA)

Data for a relaxed structure of CdGePH3O7. Values from VASP.

Symmetry = No. 1
Calculated formation energy = -1540 meV per atom

```
&SYSTEM
  ibrav = 0, nat = 52, ntyp = 5
/
ATOMIC_SPECIES
O 16.00 O.upf
H 1.01 H.upf
Ge 72.64 Ge.upf
P 30.97 P.upf
Cd 112.41 Cd.upf
CELL_PARAMETERS angstrom
-5.370 5.962 -0.267
-7.665 -2.531 3.345
2.197 2.937 8.502
ATOMIC_POSITIONS angstrom
O -4.507 5.218 8.344
O -4.261 0.768 4.467
O -1.340 3.472 3.127
O 0.104 3.267 6.584
O -3.547 0.663 7.289
O -6.443 -1.362 4.199
O -7.087 3.496 11.321
O -1.558 5.556 6.531
O -10.329 4.537 6.008
O -3.558 4.893 1.752
O -6.967 4.629 7.748
O -5.715 2.637 8.931
O -5.255 4.655 5.976
O -6.314 1.096 2.902
O -7.601 3.248 2.364
O -5.124 6.405 2.844
O -2.150 2.387 5.674
O -2.310 3.603 8.422
O -2.052 1.061 0.838
O -4.818 1.760 9.025
O -5.974 6.871 7.058
O -6.642 2.038 5.612
O -4.317 2.647 2.782
O -10.807 4.957 8.646
O -7.870 4.731 4.619
O -2.848 7.494 7.830
O -8.045 7.129 10.142
O -2.326 -0.378 1.145
H -5.678 1.879 5.662
H -3.198 4.083 8.354
H -7.805 3.756 3.191
H 0.009 1.214 3.698
H -7.192 4.212 5.116
H -7.215 2.351 2.623
H -10.629 4.727 7.712
H -3.638 7.799 7.332
H -5.370 -0.038 8.915
H -5.505 -1.615 2.667
H -2.528 6.676 7.316
H -4.301 4.721 5.751
Ge -8.957 5.761 5.610
Ge -0.516 4.634 7.658
Ge -2.933 3.909 3.778
Ge -4.098 -0.181 1.474
P -4.818 1.223 3.112
P -0.698 1.996 5.848
P -5.655 5.361 7.347
P -11.512 3.861 5.225
Cd -7.948 0.480 4.546
Cd -7.593 2.271 7.534
Cd -5.746 3.954 1.318
Cd -7.941 4.919 9.764
```

## BaTbO3 (PBE-GGA)

Data for a relaxed structure of BaTbO3. Values from VASP.

Symmetry = No. 62
Calculated formation energy = -3125 meV per atom

```
&SYSTEM
  ibrav = 0, nat = 20, ntyp = 3
/
ATOMIC_SPECIES
O 16.00 O.upf
Tb 158.93 Tb.upf
Ba 137.33 Ba.upf
CELL_PARAMETERS angstrom
6.257 0.000 0.000
0.000 6.324 0.000
0.000 0.000 8.802
ATOMIC_POSITIONS angstrom
O 1.596 4.711 4.817
O 1.533 1.549 0.416
O 0.022 3.674 2.200
O 3.150 5.812 2.200
O 4.725 4.775 8.385
O 1.596 4.711 8.385
O 4.662 1.613 0.416
O 3.107 0.512 6.601
O 1.533 1.549 3.984
O 4.725 4.775 4.817
O 6.236 2.650 6.601
O 4.662 1.613 3.984
Tb 0.000 3.162 0.000
Tb 3.129 0.000 0.000
Tb 3.129 0.000 4.401
Tb 0.000 3.162 4.401
Ba 3.097 3.092 2.200
Ba 0.032 6.254 6.601
Ba 3.161 3.232 6.601
Ba 6.226 0.070 2.200
```